Entry 1:
This record from the Materials Project describes Ce3SiPt5 after structural relaxation. The functional is meta-GGA r2SCAN.

Values from the calculation:
total moment: 2.5 μB per formula unit
calculated total energy: -3.0183 Ry/atom

a = 15.0598 Å, b = 7.3344 Å, c = 7.5575 Å
α = 90.00°, β = 120.02°, γ = 90.00°
Last column: nearest neighbours and their distance in Å.
Space group C2 (No. 5)
Inequivalent atoms, fractional coordinates:
Ce (0.0492, 0.0000, 0.3263) [4 per cell]  10 Pt 2.99-3.22, 1 Si 3.20
Ce (0.0495, 0.4991, 0.2722) [4 per cell]  10 Pt 2.98-3.23, 1 Si 3.20
Ce (0.2495, 0.4997, 0.1204) [4 per cell]  4 Pt 2.92-2.94, 1 Si 3.05
Si (0.2500, 0.9998, 0.2826) [4 per cell]  6 Pt 2.46-2.50
Pt (0.1058, 0.2018, 0.0436) [4 per cell]  1 Si 2.50
Pt (0.1057, 0.2983, 0.6675) [4 per cell]  1 Si 2.50
Pt (0.1057, 0.7012, 0.6680) [4 per cell]  1 Si 2.50
Pt (0.1062, 0.7988, 0.0441) [4 per cell]  1 Si 2.49
Pt (0.2497, 0.2500, 0.4994) [4 per cell]  2 Si 2.46



Entry 2:
This record from the Materials Project describes NdGa3Cu after structural relaxation. The functional is meta-GGA r2SCAN.

Values from the calculation:
total moment: 0.0 μB per formula unit
calculated total energy: -1.1387 Ry/atom

a = 4.1598 Å, b = 4.1598 Å, c = 10.5657 Å
α = 90.00°, β = 90.00°, γ = 90.00°
Last column: nearest neighbours and their distance in Å.
Space group I-4m2 (No. 119)
Inequivalent atoms, fractional coordinates:
Nd (0.0000, 0.0000, 0.0000) [2 per cell]  12 Ga 3.19-3.36, 4 Cu 3.36
Ga (0.0000, 0.0000, 0.3829) [4 per cell]  3 Ga 2.47-2.51, 2 Cu 2.51
Ga (0.0000, 0.5000, 0.2500) [2 per cell]  4 Ga 2.51
Cu (0.0000, 0.5000, 0.7500) [2 per cell]  4 Ga 2.51



Entry 3:
This record from the Materials Project describes Tl3Sn after structural relaxation. The functional is meta-GGA r2SCAN.

Values from the calculation:
total moment: 0.0 μB per formula unit
calculated total energy: -3.3811 Ry/atom

a = 7.1684 Å, b = 7.1684 Å, c = 5.3703 Å
α = 90.00°, β = 90.00°, γ = 120.00°
Last column: nearest neighbours and their distance in Å.
Space group P6_3/mmc (No. 194)
Inequivalent atoms, fractional coordinates:
Tl (0.1704, 0.3408, 0.2500) [6 per cell]  4 Sn 3.36-3.58, 8 Tl 3.42-3.66
Sn (0.3333, 0.6667, 0.7500) [2 per cell]  12 Tl 3.36-3.58